# 1
VASP calculation (PBE) on a relaxed WN crystal.

Computed properties:
Formation energy from the elements   154 meV/atom
SG   Fm-3m
Uncorrected energy   -10.312 eV/atom

Structure (extended XYZ):
```
2
Lattice="0.000 2.183 2.183 2.183 0.000 2.183 2.183 2.183 0.000" Properties=species:S:1:pos:R:3 pbc="T T T"
W 0.000 0.000 0.000
N 2.183 2.183 2.183
```

***

# 2
VASP calculation (PBE) on a relaxed Na2In2Sb3 crystal.

Computed properties:
Formation energy from the elements   -332 meV/atom
SG   P2_1/c
Uncorrected energy   -3.183 eV/atom

Structure (extended XYZ):
```
56
Lattice="14.830 0.000 0.000 0.000 7.688 0.000 -0.002 0.000 15.843" Properties=species:S:1:pos:R:3 pbc="T T T"
Na 0.909 0.696 6.521
Na 0.908 3.148 14.442
Na 2.358 4.421 7.526
Na 2.357 7.110 15.447
Na 5.316 0.360 7.723
Na 5.315 3.484 15.644
Na 6.207 4.210 6.086
Na 6.206 7.322 14.007
Na 8.622 0.366 1.836
Na 8.621 3.478 9.757
Na 9.513 4.204 0.199
Na 9.512 7.328 8.120
Na 12.471 0.577 0.396
Na 12.470 3.266 8.317
Na 13.920 4.540 1.401
Na 13.919 6.992 9.322
In 1.282 5.621 3.825
In 1.281 5.911 11.746
In 2.675 1.648 2.388
In 2.674 2.196 10.310
In 4.674 5.695 2.572
In 4.673 5.836 10.494
In 6.047 1.660 3.596
In 6.046 2.183 11.518
In 8.782 5.504 4.325
In 8.781 6.027 12.247
In 10.155 1.851 5.349
In 10.154 1.992 13.271
In 12.154 5.491 5.533
In 12.153 6.040 13.455
In 13.547 1.777 4.097
In 13.546 2.067 12.018
Sb 0.213 0.113 2.285
Sb 0.212 3.730 10.207
Sb 2.324 4.300 1.391
Sb 2.323 7.231 9.313
Sb 3.585 1.663 5.138
Sb 3.584 2.181 13.060
Sb 3.733 5.086 13.162
Sb 3.733 6.446 5.240
Sb 5.118 0.434 1.118
Sb 5.117 3.410 9.039
Sb 7.076 4.094 2.503
Sb 7.075 7.437 10.425
Sb 7.753 0.251 5.418
Sb 7.752 3.593 13.340
Sb 9.711 4.278 6.804
Sb 9.710 7.254 14.725
Sb 11.095 1.242 10.603
Sb 11.096 2.602 2.681
Sb 11.244 5.507 2.783
Sb 11.243 6.025 10.705
Sb 12.505 0.456 6.530
Sb 12.504 3.387 14.452
Sb 14.616 3.957 5.636
Sb 14.615 7.574 13.558
```

***

# 3
VASP calculation (PBE) on a relaxed Ba6Y2Ru3PtO18 crystal.

Computed properties:
Formation energy from the elements   -2578 meV/atom
SG   P3m1
Uncorrected energy   -7.079 eV/atom

Structure (extended XYZ):
```
30
Lattice="5.971 0.000 0.000 -2.985 5.171 0.000 0.000 0.000 14.782" Properties=species:S:1:pos:R:3 pbc="T T T"
Ba 0.000 0.000 0.000
Ba 0.000 0.000 4.566
Ba 0.000 3.447 2.327
Ba 0.000 3.447 9.667
Ba 2.985 1.724 7.336
Ba 2.985 1.724 11.936
Y 0.000 3.447 5.985
Y 0.000 3.447 13.332
Ru 0.000 0.000 8.426
Ru 0.000 0.000 10.936
Ru 2.985 1.724 0.913
Pt 2.985 1.724 3.604
O 0.000 1.622 7.326
O 0.000 1.623 12.065
O -1.581 4.360 7.326
O -1.580 4.360 12.065
O 1.400 0.808 9.681
O 1.624 0.938 2.253
O 2.985 0.075 4.744
O 1.557 2.548 4.744
O 2.985 0.086 14.649
O 1.567 2.542 14.649
O 1.581 4.360 7.326
O 1.580 4.360 12.065
O 4.347 0.938 2.253
O 2.985 3.295 2.253
O 4.571 0.808 9.681
O 2.985 3.555 9.681
O 4.404 2.542 14.649
O 4.414 2.548 4.744
```

***

Q: Among the records above, which one has the lowest formation energy from the elements?
A: Ba6Y2Ru3PtO18